Entry 1:
Here is crystalline Ho2Sn2O7 at its relaxed geometry from the Materials Project database. Energies are from PBE.

Results
- formation energy from the elements (eV/f.u.) = -33.33
- crystal system = cubic
- space-group type = Fd-3m, No. 227
- volume (A^3/atom) = 13.05

a = 7.405 Å, b = 7.405 Å, c = 7.405 Å
α = 60.00°, β = 60.00°, γ = 60.00°
Fractional coordinates of all 22 atoms:
Ho (0.000, 0.000, 0.000)
Ho (0.000, 0.000, 0.500)
Ho (0.000, 0.500, 0.000)
Ho (0.500, 0.000, 0.000)
Sn (0.000, 0.500, 0.500)
Sn (0.500, 0.000, 0.500)
Sn (0.500, 0.500, 0.000)
Sn (0.500, 0.500, 0.500)
O (0.125, 0.125, 0.125)
O (0.160, 0.160, 0.590)
O (0.160, 0.590, 0.160)
O (0.160, 0.590, 0.590)
O (0.410, 0.410, 0.840)
O (0.410, 0.840, 0.410)
O (0.410, 0.840, 0.840)
O (0.590, 0.160, 0.160)
O (0.590, 0.160, 0.590)
O (0.590, 0.590, 0.160)
O (0.840, 0.410, 0.410)
O (0.840, 0.410, 0.840)
O (0.840, 0.840, 0.410)
O (0.875, 0.875, 0.875)

***

Entry 2:
Here is crystalline HoZnSn2O6 at its relaxed geometry from the Materials Project database. Energies are from PBE.

Results
- formation energy from the elements (eV/f.u.) = -23.41
- crystal system = orthorhombic
- space-group type = Pmn2_1, No. 31
- volume (A^3/atom) = 13.27

a = 8.074 Å, b = 5.977 Å, c = 5.500 Å
α = 90.00°, β = 90.00°, γ = 90.00°
Fractional coordinates of all 20 atoms:
Ho (0.000, 0.168, 0.000)
Ho (0.500, 0.832, 0.500)
Zn (0.000, 0.836, 0.489)
Zn (0.500, 0.164, 0.989)
Sn (0.249, 0.719, 0.978)
Sn (0.251, 0.281, 0.478)
Sn (0.749, 0.281, 0.478)
Sn (0.751, 0.719, 0.978)
O (0.000, 0.274, 0.613)
O (0.000, 0.801, 0.840)
O (0.181, 0.948, 0.272)
O (0.186, 0.416, 0.136)
O (0.314, 0.584, 0.636)
O (0.319, 0.052, 0.772)
O (0.500, 0.199, 0.340)
O (0.500, 0.726, 0.113)
O (0.681, 0.052, 0.772)
O (0.686, 0.584, 0.636)
O (0.814, 0.416, 0.136)
O (0.819, 0.948, 0.272)

***

Entry 3:
Here is crystalline Sr2HoUO6 at its relaxed geometry from the Materials Project database. Energies are from PBE.

Results
- formation energy from the elements (eV/f.u.) = -35.91
- crystal system = cubic
- space-group type = Fm-3m, No. 225
- volume (A^3/atom) = 16.33

a = 6.135 Å, b = 6.135 Å, c = 6.135 Å
α = 60.00°, β = 60.00°, γ = 60.00°
Fractional coordinates of all 10 atoms:
Sr (0.250, 0.250, 0.250)
Sr (0.750, 0.750, 0.750)
Ho (0.000, 0.000, 0.000)
U (0.500, 0.500, 0.500)
O (0.254, 0.254, 0.746)
O (0.254, 0.746, 0.254)
O (0.254, 0.746, 0.746)
O (0.746, 0.254, 0.254)
O (0.746, 0.254, 0.746)
O (0.746, 0.746, 0.254)

***

Entry 4:
Here is crystalline Ho3TaO7 at its relaxed geometry from the Materials Project database. Energies are from PBE.

Results
- energy above the most stable polymorph in this dataset (meV/atom) = 130
- formation energy from the elements (eV/f.u.) = -41.21
- crystal system = monoclinic
- space-group type = Pc, No. 7
- volume (A^3/atom) = 13.72

a = 8.111 Å, b = 5.444 Å, c = 7.532 Å
α = 90.00°, β = 114.79°, γ = 90.00°
Fractional coordinates of all 22 atoms:
Ho (0.000, 0.006, 0.000)
Ho (0.000, 0.994, 0.500)
Ho (0.237, 0.471, 0.908)
Ho (0.237, 0.529, 0.408)
Ho (0.762, 0.463, 0.587)
Ho (0.762, 0.537, 0.087)
Ta (0.500, 0.009, 0.240)
Ta (0.500, 0.991, 0.740)
O (0.002, 0.213, 0.749)
O (0.002, 0.787, 0.249)
O (0.173, 0.311, 0.151)
O (0.173, 0.689, 0.651)
O (0.293, 0.198, 0.639)
O (0.293, 0.802, 0.139)
O (0.497, 0.262, 0.060)
O (0.497, 0.738, 0.560)
O (0.523, 0.204, 0.456)
O (0.523, 0.796, 0.956)
O (0.712, 0.195, 0.859)
O (0.712, 0.805, 0.359)
O (0.870, 0.336, 0.356)
O (0.870, 0.664, 0.856)